1:
Computed, not measured: LaTi6O12 after structural relaxation at the PBE level of DFT.

Calculated values
Total magnetic moment ... 0.001 μB/atom

a b c (Å): 6.7074 7.2873 9.7655
angles (deg): 88.24 81.56 63.94
Closest atoms and distances in Å follow each position.
Positions (direct):
La 0.2458 0.0588 0.4401  5 O 2.33-2.60
La 0.7542 0.9412 0.5599  5 O 2.33-2.60
Ti 0.0698 0.4257 0.1514  5 O 1.84-2.05
Ti 0.1210 0.9004 0.7579  3 O 1.74-1.93
Ti 0.2262 0.6084 0.3290  5 O 1.87-2.05
Ti 0.2904 0.4709 0.6226  4 O 1.83-1.93
Ti 0.3544 0.0614 0.8861  4 O 1.87-1.95
Ti 0.4306 0.4064 0.9223  5 O 1.87-2.08
Ti 0.5694 0.5936 0.0777  5 O 1.87-2.08
Ti 0.6456 0.9386 0.1139  4 O 1.87-1.95
Ti 0.7096 0.5291 0.3774  4 O 1.83-1.93
Ti 0.7738 0.3916 0.6710  5 O 1.87-2.05
Ti 0.8790 0.0996 0.2421  3 O 1.74-1.93
Ti 0.9302 0.5743 0.8486  5 O 1.84-2.05
O 0.0368 0.9018 0.3603  2 Ti 1.86-1.95
O 0.0586 0.4008 0.6674  3 Ti 1.83-2.05
O 0.0694 0.0622 0.9003  2 Ti 1.74-1.89
O 0.1607 0.3463 0.9443  4 Ti 1.95-2.05
O 0.1670 0.1670 0.2187  1 Ti 1.84
O 0.1959 0.7288 0.5571  1 Ti 1.83
O 0.2319 0.6221 0.8167  3 Ti 1.93-2.12
O 0.3168 0.5115 0.1277  4 Ti 1.99-2.08
O 0.3425 0.3743 0.4333  2 Ti 1.87-1.93
O 0.3852 0.9641 0.7032  2 Ti 1.89-2.02
O 0.4299 0.8617 0.0193  2 Ti 1.87
O 0.4624 0.7181 0.2964  2 Ti 1.89-2.05
O 0.5376 0.2819 0.7036  2 Ti 1.89-2.05
O 0.5701 0.1383 0.9807  2 Ti 1.87
O 0.6148 0.0359 0.2968  2 Ti 1.89-2.02
O 0.6575 0.6257 0.5667  2 Ti 1.87-1.93
O 0.6832 0.4885 0.8723  4 Ti 1.99-2.08
O 0.7681 0.3779 0.1833  3 Ti 1.93-2.12
O 0.8041 0.2712 0.4429  1 Ti 1.83
O 0.8330 0.8330 0.7813  1 Ti 1.84
O 0.8393 0.6537 0.0557  4 Ti 1.95-2.05
O 0.9306 0.9378 0.0997  2 Ti 1.74-1.89
O 0.9414 0.5992 0.3326  3 Ti 1.83-2.05
O 0.9632 0.0982 0.6397  2 Ti 1.86-1.95

2:
Computed, not measured: LaTi6O12 after structural relaxation at the PBE level of DFT.

Calculated values
Total magnetic moment ... 0.105 μB/atom

a b c (Å): 8.2715 8.2715 9.7889
angles (deg): 124.87 124.87 65.82
Closest atoms and distances in Å follow each position.
Positions (direct):
La 0.2314 0.7686 0.0000  4 O 2.51-2.52
La 0.7686 0.2314 0.0000  4 O 2.51-2.52
Ti 0.0198 0.6904 0.5288  6 O 1.95-2.09
Ti 0.1679 0.4977 0.1850  6 O 1.91-2.10
Ti 0.1708 0.1708 0.8214  6 O 1.91-2.07
Ti 0.3096 0.9802 0.4712  6 O 1.95-2.09
Ti 0.3547 0.3547 0.5342  6 O 1.94-2.06
Ti 0.4977 0.1679 0.1850  6 O 1.91-2.10
Ti 0.5023 0.8321 0.8150  6 O 1.91-2.10
Ti 0.6453 0.6453 0.4658  6 O 1.94-2.06
Ti 0.6904 0.0198 0.5288  6 O 1.95-2.09
Ti 0.8292 0.8292 0.1786  6 O 1.91-2.07
Ti 0.8321 0.5023 0.8150  6 O 1.91-2.10
Ti 0.9802 0.3096 0.4712  6 O 1.95-2.09
O 0.1205 0.7869 0.2699  3 Ti 1.95-1.98
O 0.1381 0.4781 0.9486  3 Ti 2.06-2.10
O 0.1498 0.1498 0.6073  3 Ti 1.91-1.96
O 0.1531 0.1531 0.3371  3 Ti 2.03-2.05
O 0.1790 0.5211 0.6703  3 Ti 2.06-2.09
O 0.1823 0.5149 0.3944  3 Ti 1.91-1.99
O 0.1949 0.1949 0.0535  3 Ti 2.04-2.06
O 0.2131 0.8795 0.7301  3 Ti 1.95-1.98
O 0.4548 0.4548 0.2786  3 Ti 1.94-1.95
O 0.4781 0.1381 0.9486  3 Ti 2.06-2.10
O 0.4789 0.8210 0.3297  3 Ti 2.06-2.09
O 0.4851 0.8177 0.6056  3 Ti 1.91-1.99
O 0.5149 0.1823 0.3944  3 Ti 1.91-1.99
O 0.5211 0.1790 0.6703  3 Ti 2.06-2.09
O 0.5219 0.8619 0.0514  3 Ti 2.06-2.10
O 0.5452 0.5452 0.7214  3 Ti 1.94-1.95
O 0.7869 0.1205 0.2699  3 Ti 1.95-1.98
O 0.8051 0.8051 0.9465  3 Ti 2.04-2.06
O 0.8177 0.4851 0.6056  3 Ti 1.91-1.99
O 0.8210 0.4789 0.3297  3 Ti 2.06-2.09
O 0.8469 0.8469 0.6629  3 Ti 2.03-2.05
O 0.8502 0.8502 0.3927  3 Ti 1.91-1.96
O 0.8619 0.5219 0.0514  3 Ti 2.06-2.10
O 0.8795 0.2131 0.7301  3 Ti 1.95-1.98

Unit: kJ/mol of atoms. Relative energies: 1 11.8; 2 0.0.

1:
Computed, not measured: LaZr9O20 after structural relaxation at the PBE level of DFT.

Calculated values
Total magnetic moment ... 0.000 μB/atom

a b c (Å): 6.3810 7.3724 8.2431
angles (deg): 102.99 97.44 106.69
Closest atoms and distances in Å follow each position.
Positions (direct):
La 0.0000 0.0000 0.0000  8 O 2.41-2.43
Zr 0.0000 0.5000 0.0000  8 O 2.19-2.30
Zr 0.2015 0.4024 0.4030  8 O 2.20-2.29
Zr 0.2019 0.9003 0.4028  8 O 2.19-2.29
Zr 0.3997 0.7987 0.7997  8 O 2.19-2.29
Zr 0.4006 0.3016 0.7993  8 O 2.18-2.30
Zr 0.5994 0.6984 0.2007  8 O 2.18-2.30
Zr 0.6003 0.2013 0.2003  8 O 2.19-2.29
Zr 0.7981 0.0997 0.5972  8 O 2.19-2.29
Zr 0.7985 0.5976 0.5970  8 O 2.20-2.29
O 0.0481 0.2402 0.8398  3 Zr 2.19-2.25, 1 La 2.41
O 0.0528 0.7041 0.8372  3 Zr 2.21-2.22, 1 La 2.43
O 0.1436 0.1720 0.5463  4 Zr 2.23-2.30
O 0.1501 0.6742 0.5444  4 Zr 2.21-2.29
O 0.2625 0.6263 0.2505  4 Zr 2.18-2.30
O 0.2712 0.1359 0.2666  3 Zr 2.19-2.24, 1 La 2.42
O 0.3553 0.5742 0.9518  4 Zr 2.23-2.28
O 0.3723 0.0812 0.9435  3 Zr 2.20-2.24, 1 La 2.41
O 0.4427 0.0248 0.6456  4 Zr 2.19-2.29
O 0.4431 0.5202 0.6477  4 Zr 2.20-2.29
O 0.5569 0.4798 0.3523  4 Zr 2.20-2.29
O 0.5573 0.9752 0.3544  4 Zr 2.19-2.29
O 0.6277 0.9188 0.0565  3 Zr 2.20-2.24, 1 La 2.41
O 0.6447 0.4258 0.0482  4 Zr 2.23-2.28
O 0.7288 0.8641 0.7334  3 Zr 2.19-2.24, 1 La 2.42
O 0.7375 0.3737 0.7495  4 Zr 2.18-2.30
O 0.8499 0.3258 0.4556  4 Zr 2.21-2.29
O 0.8564 0.8280 0.4537  4 Zr 2.23-2.30
O 0.9472 0.2959 0.1628  3 Zr 2.21-2.22, 1 La 2.43
O 0.9519 0.7598 0.1602  3 Zr 2.19-2.25, 1 La 2.41

2:
Computed, not measured: LaZr9O20 after structural relaxation at the PBE level of DFT.

Calculated values
Total magnetic moment ... 0.033 μB/atom

a b c (Å): 6.4939 7.4459 8.2429
angles (deg): 77.37 75.44 71.97
Closest atoms and distances in Å follow each position.
Positions (direct):
La 0.0000 0.0000 0.0000  8 O 2.34-2.55
Zr 0.1967 0.7979 0.5985  4 O 2.08-2.11
Zr 0.2046 0.3008 0.5979  4 O 2.09-2.10
Zr 0.3970 0.1010 0.2024  4 O 2.10-2.12
Zr 0.4106 0.6012 0.1983  5 O 2.09-2.30
Zr 0.5972 0.9061 0.7942  5 O 2.11-2.29
Zr 0.6060 0.4114 0.7914  5 O 2.07-2.31
Zr 0.7931 0.2004 0.4034  4 O 2.08-2.12
Zr 0.8043 0.6952 0.4004  4 O 2.08-2.13
Zr 0.9951 0.5024 0.0037  6 O 2.11-2.36
O 0.0219 0.2006 0.1744  1 Zr 2.09
O 0.0872 0.6882 0.1534  2 Zr 2.10-2.33
O 0.1120 0.5811 0.4735  2 Zr 2.09-2.10
O 0.1858 0.1230 0.4402  2 Zr 2.09-2.10
O 0.2490 0.9736 0.7411  2 Zr 2.09-2.29, 1 La 2.34
O 0.2912 0.5235 0.7390  2 Zr 2.07-2.11
O 0.3220 0.3771 0.0561  2 Zr 2.12-2.15
O 0.3947 0.9125 0.0443  3 Zr 2.12-2.37
O 0.4118 0.7786 0.3650  2 Zr 2.08-2.11
O 0.4791 0.3250 0.3359  2 Zr 2.09-2.12
O 0.5219 0.1826 0.6501  2 Zr 2.09-2.12
O 0.6027 0.7121 0.6400  3 Zr 2.08-2.31
O 0.6204 0.5759 0.9616  2 Zr 2.09
O 0.6499 0.1349 0.9322  1 Zr 2.10, 1 La 2.34
O 0.7104 0.9792 0.2714  2 Zr 2.12-2.13
O 0.7664 0.5344 0.2363  3 Zr 2.09-2.30
O 0.8205 0.3787 0.5539  2 Zr 2.08-2.11
O 0.8824 0.9277 0.5415  2 Zr 2.09
O 0.9181 0.7737 0.8539  2 Zr 2.11-2.14
O 0.9837 0.3318 0.8317  2 Zr 2.10-2.13

Unit: kJ/mol of atoms. Relative energies: 1 2.2; 2 0.0.

1:
Computed, not measured: LaSiP3 after structural relaxation at the PBE level of DFT.

Calculated values
Total magnetic moment ... 0.000 μB/atom

a b c (Å): 5.7222 25.7938 5.8010
angles (deg): 90.00 90.00 90.00
Closest atoms and distances in Å follow each position.
Positions (direct):
La 0.0021 0.0915 0.9999  9 P 2.99-3.15
La 0.0021 0.4085 0.4999  9 P 2.99-3.15
La 0.4979 0.5915 0.9999  9 P 2.99-3.15
La 0.4979 0.9085 0.4999  9 P 2.99-3.15
La 0.5021 0.0915 0.5001  9 P 2.99-3.15
La 0.5021 0.4085 0.0001  9 P 2.99-3.15
La 0.9979 0.5915 0.5001  9 P 2.99-3.15
La 0.9979 0.9085 0.0001  9 P 2.99-3.15
Si 0.0809 0.7072 0.0851  4 P 2.20-2.27
Si 0.0809 0.7928 0.5851  4 P 2.20-2.27
Si 0.4191 0.2072 0.0851  4 P 2.20-2.27
Si 0.4191 0.2928 0.5851  4 P 2.20-2.27
Si 0.5809 0.7072 0.4149  4 P 2.20-2.27
Si 0.5809 0.7928 0.9149  4 P 2.20-2.27
Si 0.9191 0.2072 0.4149  4 P 2.20-2.27
Si 0.9191 0.2928 0.9149  4 P 2.20-2.27
P 0.0043 0.1263 0.5036  1 Si 2.20
P 0.0043 0.3737 0.0036  1 Si 2.20
P 0.0261 0.2132 0.0443  3 Si 2.24-2.27
P 0.0261 0.2868 0.5443  3 Si 2.24-2.27
P 0.2483 0.0001 0.7485  4 P 2.86-2.90, 4 La 3.11-3.13
P 0.2483 0.4999 0.2485  4 P 2.86-2.90, 4 La 3.11-3.13
P 0.2517 0.9999 0.2485  4 P 2.86-2.90, 4 La 3.11-3.13
P 0.2517 0.5001 0.7485  4 P 2.86-2.90, 4 La 3.11-3.13
P 0.4739 0.7132 0.0443  3 Si 2.24-2.27
P 0.4739 0.7868 0.5443  3 Si 2.24-2.27
P 0.4957 0.6263 0.5036  1 Si 2.20
P 0.4957 0.8737 0.0036  1 Si 2.20
P 0.5043 0.1263 0.9964  1 Si 2.20
P 0.5043 0.3737 0.4964  1 Si 2.20
P 0.5261 0.2132 0.4557  3 Si 2.24-2.27
P 0.5261 0.2868 0.9557  3 Si 2.24-2.27
P 0.7483 0.0001 0.7515  4 P 2.86-2.90, 4 La 3.11-3.13
P 0.7483 0.4999 0.2515  4 P 2.86-2.90, 4 La 3.11-3.13
P 0.7517 0.9999 0.2515  4 P 2.86-2.90, 4 La 3.11-3.13
P 0.7517 0.5001 0.7515  4 P 2.86-2.90, 4 La 3.11-3.13
P 0.9739 0.7132 0.4557  3 Si 2.24-2.27
P 0.9739 0.7868 0.9557  3 Si 2.24-2.27
P 0.9957 0.6263 0.9964  1 Si 2.20
P 0.9957 0.8737 0.4964  1 Si 2.20

2:
Computed, not measured: LaSiP3 after structural relaxation at the PBE level of DFT.

a b c (Å): 5.9768 25.5858 5.7851
angles (deg): 90.00 90.00 90.00
Closest atoms and distances in Å follow each position.
Positions (direct):
La 0.0184 0.0904 0.0000  8 P 3.01-3.36
La 0.0196 0.4012 0.4995  9 P 2.97-3.27
La 0.4804 0.9012 0.9995  9 P 2.97-3.27
La 0.4816 0.5904 0.5000  8 P 3.01-3.36
La 0.5184 0.4096 0.0000  8 P 3.01-3.36
La 0.5196 0.0988 0.4995  9 P 2.97-3.27
La 0.9804 0.5988 0.9995  9 P 2.97-3.27
La 0.9816 0.9096 0.5000  8 P 3.01-3.36
Si 0.0651 0.7940 0.0810  4 P 2.21-2.27
Si 0.1129 0.2913 0.0784  4 P 2.21-2.28
Si 0.3871 0.7913 0.5784  4 P 2.21-2.28
Si 0.4349 0.2940 0.5810  4 P 2.21-2.27
Si 0.5651 0.7060 0.0810  4 P 2.21-2.27
Si 0.6129 0.2087 0.0784  4 P 2.21-2.28
Si 0.8871 0.7087 0.5784  4 P 2.21-2.28
Si 0.9349 0.2060 0.5810  4 P 2.21-2.27
P 0.0137 0.3725 0.9977  1 Si 2.21
P 0.0217 0.1242 0.4976  1 Si 2.21
P 0.0273 0.7880 0.4698  3 Si 2.24-2.28
P 0.0784 0.2837 0.4678  3 Si 2.25-2.27
P 0.1809 0.5019 0.2026  2 P 2.26-2.29
P 0.1826 0.5016 0.8070  2 P 2.26-2.29
P 0.3174 0.0016 0.3070  2 P 2.26-2.29
P 0.3191 0.0019 0.7026  2 P 2.26-2.29
P 0.4216 0.7837 0.9678  3 Si 2.25-2.27
P 0.4727 0.2880 0.9698  3 Si 2.24-2.28
P 0.4783 0.6242 0.9976  1 Si 2.21
P 0.4863 0.8725 0.4977  1 Si 2.21
P 0.5137 0.1275 0.9977  1 Si 2.21
P 0.5217 0.3758 0.4976  1 Si 2.21
P 0.5273 0.7120 0.4698  3 Si 2.24-2.28
P 0.5784 0.2163 0.4678  3 Si 2.25-2.27
P 0.6809 0.9981 0.2026  2 P 2.26-2.29
P 0.6826 0.9984 0.8070  2 P 2.26-2.29
P 0.8174 0.4984 0.3070  2 P 2.26-2.29
P 0.8191 0.4981 0.7026  2 P 2.26-2.29
P 0.9216 0.7163 0.9678  3 Si 2.25-2.27
P 0.9727 0.2120 0.9698  3 Si 2.24-2.28
P 0.9783 0.8758 0.9976  1 Si 2.21
P 0.9863 0.6275 0.4977  1 Si 2.21

Unit: kJ/mol of atoms. Relative energies: 1 8.9; 2 0.0.

1:
Computed, not measured: La2Rh7 after structural relaxation at the PBE level of DFT.

Calculated values
Total magnetic moment ... 0.000 μB/atom

a b c (Å): 13.6691 13.6691 13.6691
angles (deg): 22.52 22.52 22.52
Closest atoms and distances in Å follow each position.
Positions (direct):
La 0.0503 0.0503 0.0503  12 Rh 3.09-3.34
La 0.1467 0.1467 0.1467  9 Rh 3.05-3.18
La 0.8533 0.8533 0.8533  9 Rh 3.05-3.18
La 0.9497 0.9497 0.9497  12 Rh 3.09-3.34
Rh 0.0000 0.5000 0.5000  8 Rh 2.67-2.70
Rh 0.1094 0.6098 0.6098  7 Rh 2.65-2.75
Rh 0.2777 0.2777 0.2777  6 Rh 2.65-2.70
Rh 0.3885 0.3885 0.3885  6 Rh 2.67-2.69
Rh 0.3902 0.3902 0.8906  7 Rh 2.65-2.75
Rh 0.3902 0.8906 0.3902  7 Rh 2.65-2.75
Rh 0.5000 0.0000 0.5000  8 Rh 2.67-2.70
Rh 0.5000 0.5000 0.0000  8 Rh 2.67-2.70
Rh 0.5000 0.5000 0.5000  6 Rh 2.75
Rh 0.6098 0.1094 0.6098  7 Rh 2.65-2.75
Rh 0.6098 0.6098 0.1094  7 Rh 2.65-2.75
Rh 0.6115 0.6115 0.6115  6 Rh 2.67-2.69
Rh 0.7223 0.7223 0.7223  6 Rh 2.65-2.70
Rh 0.8906 0.3902 0.3902  7 Rh 2.65-2.75

2:
Computed, not measured: La2Rh7 after structural relaxation at the PBE level of DFT.

a b c (Å): 5.3421 5.3421 26.6375
angles (deg): 90.00 90.00 120.00
Closest atoms and distances in Å follow each position.
Positions (direct):
La 0.3333 0.6667 0.0300  9 Rh 3.05-3.19
La 0.3333 0.6667 0.1746  12 Rh 3.09-3.34
La 0.3333 0.6667 0.3254  12 Rh 3.09-3.34
La 0.3333 0.6667 0.4700  9 Rh 3.05-3.19
La 0.6667 0.3333 0.5300  9 Rh 3.05-3.19
La 0.6667 0.3333 0.6746  12 Rh 3.09-3.34
La 0.6667 0.3333 0.8254  12 Rh 3.09-3.34
La 0.6667 0.3333 0.9700  9 Rh 3.05-3.19
Rh 0.0000 0.0000 0.0000  6 Rh 2.75
Rh 0.0000 0.0000 0.1673  6 Rh 2.67-2.69
Rh 0.0000 0.0000 0.3327  6 Rh 2.67-2.69
Rh 0.0000 0.0000 0.5000  6 Rh 2.75
Rh 0.0000 0.0000 0.6673  6 Rh 2.67-2.69
Rh 0.0000 0.0000 0.8327  6 Rh 2.67-2.69
Rh 0.1667 0.3334 0.7500  8 Rh 2.67-2.70
Rh 0.1670 0.3340 0.5855  7 Rh 2.66-2.75
Rh 0.1670 0.3340 0.9145  7 Rh 2.66-2.75
Rh 0.1670 0.8330 0.5855  7 Rh 2.66-2.75
Rh 0.1667 0.8333 0.7500  8 Rh 2.67-2.70
Rh 0.1670 0.8330 0.9145  7 Rh 2.66-2.75
Rh 0.3334 0.1667 0.2500  8 Rh 2.67-2.70
Rh 0.3333 0.6667 0.6668  6 Rh 2.66-2.70
Rh 0.3333 0.6667 0.8332  6 Rh 2.66-2.70
Rh 0.3340 0.1670 0.0855  7 Rh 2.66-2.75
Rh 0.3340 0.1670 0.4145  7 Rh 2.66-2.75
Rh 0.6660 0.8330 0.5855  7 Rh 2.66-2.75
Rh 0.6660 0.8330 0.9145  7 Rh 2.66-2.75
Rh 0.6667 0.3333 0.1668  6 Rh 2.66-2.70
Rh 0.6667 0.3333 0.3332  6 Rh 2.66-2.70
Rh 0.6666 0.8333 0.7500  8 Rh 2.67-2.70
Rh 0.8330 0.1670 0.0855  7 Rh 2.66-2.75
Rh 0.8333 0.1667 0.2500  8 Rh 2.67-2.70
Rh 0.8330 0.1670 0.4145  7 Rh 2.66-2.75
Rh 0.8330 0.6660 0.0855  7 Rh 2.66-2.75
Rh 0.8330 0.6660 0.4145  7 Rh 2.66-2.75
Rh 0.8333 0.6666 0.2500  8 Rh 2.67-2.70

Unit: kJ/mol of atoms. Relative energies: 1 1.2; 2 0.0.

1:
Computed, not measured: LaS after structural relaxation at the PBE level of DFT.

a b c (Å): 4.1546 4.1546 4.1546
angles (deg): 60.00 60.00 60.00
Closest atoms and distances in Å follow each position.
Positions (direct):
La 0.0000 0.0000 0.0000  6 S 2.94
S 0.5000 0.5000 0.5000  6 La 2.94

2:
Computed, not measured: LaS after structural relaxation at the PBE level of DFT.

Calculated values
Total magnetic moment ... 0.000 μB/atom

a b c (Å): 4.0796 4.0796 18.0156
angles (deg): 90.00 90.00 90.06
Closest atoms and distances in Å follow each position.
Positions (direct):
La 0.1756 0.8244 0.8214  5 S 2.91-2.93
La 0.3244 0.6756 0.3214  5 S 2.91-2.93
La 0.6756 0.3244 0.6786  5 S 2.91-2.93
La 0.8244 0.1756 0.1786  5 S 2.91-2.93
S 0.1755 0.8245 0.6589  5 La 2.91-2.93
S 0.3245 0.6755 0.1589  5 La 2.91-2.93
S 0.6755 0.3245 0.8411  5 La 2.91-2.93
S 0.8245 0.1755 0.3411  5 La 2.91-2.93

Unit: kJ/mol of atoms. Relative energies: 1 0.0; 2 27.0.

1:
Computed, not measured: LaS after structural relaxation at the PBE level of DFT.

Calculated values
Total magnetic moment ... 0.143 μB/atom

a b c (Å): 3.5755 3.5755 3.5755
angles (deg): 90.00 90.00 90.00
Closest atoms and distances in Å follow each position.
Positions (direct):
La 0.0000 0.0000 0.0000  8 S 3.10
S 0.5000 0.5000 0.5000  8 La 3.10

2:
Computed, not measured: LaS after structural relaxation at the PBE level of DFT.

Calculated values
Total magnetic moment ... 0.001 μB/atom

a b c (Å): 4.0755 4.0755 10.6003
angles (deg): 90.00 90.00 90.00
Closest atoms and distances in Å follow each position.
Positions (direct):
La 0.2500 0.2500 0.1216  5 S 2.90-2.93
La 0.7500 0.7500 0.8784  5 S 2.90-2.93
S 0.2500 0.2500 0.8454  5 La 2.90-2.93
S 0.7500 0.7500 0.1546  5 La 2.90-2.93

Unit: kJ/mol of atoms. Relative energies: 1 3.6; 2 0.0.